First-principles (PBE-GGA) data for an optimized crystal structure of BaSr3Lu2Bi2O12, as listed in the Materials Project database.

Cell lengths 5.9735, 6.0124, 8.4623 Å; angles 90.03, 90.08, 90.04 degrees
Last column: nearest neighbours and their distance in Å.
Space group P1 (No. 1)
Symmetry-distinct sites (fractional):
Ba (0.0000, 0.0000, 0.0000)  6 O 2.67-2.95
Sr (0.4845, 0.5118, 0.0006)  6 O 2.56-2.86
Sr (0.4979, 0.4471, 0.4996)  5 O 2.55-2.85
Sr (0.9867, 0.9422, 0.5005)  6 O 2.55-2.83
Lu (0.4930, 0.9781, 0.7475)  6 O 2.18-2.20
Lu (0.9937, 0.4761, 0.2525)  6 O 2.18-2.23
Bi (0.4932, 0.9784, 0.2534)  6 O 2.13-2.15
Bi (0.9938, 0.4765, 0.7475)  6 O 2.13-2.16
O (0.0745, 0.4994, 0.5028)  1 Bi 2.13, 1 Lu 2.18
O (0.2106, 0.7544, 0.7830)  1 Bi 2.13, 1 Lu 2.18
O (0.2180, 0.7577, 0.2190)  1 Bi 2.13, 1 Lu 2.18
O (0.2801, 0.2704, 0.7902)  1 Bi 2.14, 1 Lu 2.20
O (0.2903, 0.2664, 0.2105)  1 Bi 2.15, 1 Lu 2.20
O (0.4087, 0.0040, 0.4975)  1 Bi 2.13, 1 Lu 2.18
O (0.5514, 0.9533, 0.0039)  1 Bi 2.15, 1 Lu 2.20
O (0.7056, 0.6964, 0.2948)  1 Bi 2.15, 1 Lu 2.20
O (0.7140, 0.6918, 0.7060)  1 Bi 2.14, 1 Lu 2.20
O (0.7766, 0.1888, 0.2967)  1 Bi 2.14, 1 Lu 2.19
O (0.7853, 0.1933, 0.7032)  1 Bi 2.14, 1 Lu 2.20
O (0.9114, 0.4700, 0.9959)  1 Bi 2.16, 1 Lu 2.23

Summary:
E_form: -2877 meV/atom
Volume: 304 Å³/cell
VASP energy: -6.624 eV per atom